Record 1
A geometry-optimized FeNiP2O8 structure, computed with GGA+U.

Geometry as POSCAR:
```
FeNiP2O8
1.0
4.3246 2.4968 6.8977
-4.3246 2.4968 6.8977
0.0000 -4.9936 6.8977
Fe Ni P O
3 3 6 24
Direct
0.0000 0.0000 0.0000
0.2120 0.2120 0.2120
0.7117 0.7117 0.7117
0.3560 0.3560 0.3560
0.4973 0.4973 0.4973
0.8556 0.8556 0.8556
0.1068 0.8085 0.4022
0.3094 0.6054 0.9004
0.4022 0.1068 0.8085
0.6054 0.9004 0.3094
0.8085 0.4022 0.1068
0.9004 0.3094 0.6054
0.0346 0.8523 0.2469
0.1003 0.2953 0.4477
0.1094 0.7642 0.9179
0.1775 0.9642 0.3597
0.2469 0.0346 0.8523
0.2631 0.6103 0.4133
0.2953 0.4478 0.1003
0.3421 0.5419 0.7447
0.3597 0.1775 0.9642
0.4133 0.2631 0.6103
0.4477 0.1003 0.2953
0.4665 0.6734 0.8591
0.5419 0.7447 0.3421
0.6014 0.9479 0.7956
0.6103 0.4133 0.2631
0.6734 0.8591 0.4665
0.7447 0.3421 0.5419
0.7642 0.9179 0.1094
0.7956 0.6014 0.9479
0.8523 0.2469 0.0346
0.8591 0.4665 0.6734
0.9179 0.1094 0.7642
0.9479 0.7956 0.6014
0.9642 0.3597 0.1775
```

Output
Total magnetization: 21.23 Bohr magnetons per cell
Formation energy: -2.129 eV per atom

=====

Record 2
A geometry-optimized Sr4NdMn5O15 structure, computed with GGA+U.

Geometry as POSCAR:
```
Sr4NdMn5O15
1.0
8.2438 -2.7424 0.0000
8.2438 2.7424 0.0000
-1.8379 0.0000 6.4576
Sr Nd Mn O
4 1 5 15
Direct
0.1005 0.1005 0.3996
0.3002 0.3002 0.2005
0.6998 0.6998 0.7995
0.8995 0.8995 0.6004
0.5000 0.5000 0.0000
0.1006 0.1006 0.9003
0.2996 0.2996 0.6991
0.5000 0.5000 0.5000
0.7004 0.7004 0.3009
0.8994 0.8994 0.0997
0.0000 0.0000 0.0000
0.0000 0.5000 0.5000
0.1121 0.5993 0.9019
0.2010 0.2010 0.8045
0.2074 0.6954 0.2926
0.3046 0.7926 0.7074
0.4007 0.8879 0.0981
0.4026 0.4026 0.6082
0.5000 0.0000 0.5000
0.5974 0.5974 0.3918
0.5993 0.1121 0.9019
0.6954 0.2074 0.2926
0.7926 0.3046 0.7074
0.7990 0.7990 0.1955
0.8879 0.4007 0.0981
```

Output
Total magnetization: 16.00 Bohr magnetons per cell
Formation energy: -2.566 eV per atom

=====

Record 3
A geometry-optimized Sr2YCoCu2O7 structure, computed with GGA+U.

Geometry as POSCAR:
```
Sr2YCoCu2O7
1.0
5.4227 0.0000 0.0000
-0.0062 5.5063 0.0000
-2.6912 -2.7419 11.5529
Sr Y Co Cu O
4 2 2 4 14
Direct
0.0000 0.0000 0.0000
0.1917 0.1920 0.3893
0.4987 0.4802 0.9999
0.6944 0.6725 0.3898
0.3471 0.3396 0.6946
0.8468 0.8393 0.6949
0.1241 0.6433 0.1936
0.6241 0.0269 0.1958
0.2713 0.7647 0.5483
0.4192 0.9131 0.8423
0.7691 0.2629 0.5446
0.9199 0.4135 0.8436
0.9998 0.4710 0.0443
0.0257 0.0165 0.5638
0.0400 0.5225 0.5726
0.1415 0.6127 0.3411
0.1551 0.6591 0.8249
0.1620 0.1562 0.8160
0.4823 0.7007 0.1952
0.4923 0.0597 0.0489
0.5230 0.0267 0.5653
0.5378 0.5348 0.5722
0.6488 0.1996 0.3453
0.6555 0.6495 0.8248
0.6630 0.1451 0.8181
0.9799 0.9686 0.1939
```

Output
Total magnetization: 7.88 Bohr magnetons per cell
Formation energy: -2.287 eV per atom

=====

Record 4
A geometry-optimized Li3Mn2CoO6 structure, computed with GGA+U.

Geometry as POSCAR:
```
Li3Mn2CoO6
1.0
3.0758 0.0000 0.0000
1.1304 5.0048 0.0000
1.0404 1.6321 7.3933
Li Mn Co O
3 2 1 6
Direct
0.0000 0.0000 0.0000
0.3498 0.9909 0.3340
0.6502 0.0091 0.6660
0.3456 0.4980 0.8313
0.6544 0.5020 0.1687
0.0000 0.5000 0.5000
0.0369 0.2641 0.7397
0.3532 0.2692 0.0754
0.3748 0.7222 0.5878
0.6252 0.2778 0.4122
0.6468 0.7308 0.9246
0.9631 0.7359 0.2603
```

Output
Total magnetization: 12.00 Bohr magnetons per cell
Formation energy: -1.968 eV per atom

=====

Record 5
A geometry-optimized MgVPbO3 structure, computed with GGA+U.

Geometry as POSCAR:
```
MgVPbO3
1.0
4.0441 0.0000 0.0000
0.0000 4.0441 0.0000
0.0000 0.0000 6.2794
Mg V Pb O
1 1 1 3
Direct
0.0000 0.0000 0.0000
0.0000 0.0000 0.5953
0.5000 0.5000 0.1050
0.0000 0.0000 0.3043
0.0000 0.5000 0.8886
0.5000 0.0000 0.8886
```

Output
Total magnetization: 0.97 Bohr magnetons per cell
Formation energy: -1.330 eV per atom

=====

Record 6
A geometry-optimized MgMn2Al2O6 structure, computed with GGA+U.

Geometry as POSCAR:
```
MgMn2Al2O6
1.0
5.0382 0.0000 0.0000
2.5114 4.3750 0.0000
2.4796 1.3912 5.1698
Mg Mn Al O
1 2 2 6
Direct
0.0000 0.0000 0.0000
0.1699 0.1725 0.4901
0.8301 0.8275 0.5099
0.3485 0.3502 0.9513
0.6515 0.6498 0.0487
0.0570 0.7253 0.7923
0.2721 0.5802 0.2081
0.4211 0.0563 0.7914
0.5789 0.9437 0.2086
0.7279 0.4198 0.7919
0.9430 0.2747 0.2077
```

Output
Total magnetization: 10.00 Bohr magnetons per cell
Formation energy: -2.713 eV per atom

=====

Record 7
A geometry-optimized GeW2C10Br2O10 structure, computed with GGA+U.

Geometry as POSCAR:
```
GeW2C10Br2O10
1.0
9.6666 0.0000 0.0000
0.0000 13.3191 0.0000
-9.0344 0.0000 15.4181
Ge W C Br O
4 8 40 8 40
Direct
0.2330 0.2284 0.2312
0.2330 0.2716 0.7312
0.7670 0.7284 0.2688
0.7670 0.7716 0.7688
0.1466 0.1871 0.3484
0.1466 0.3129 0.8484
0.4902 0.2028 0.8732
0.4902 0.2972 0.3732
0.5098 0.7028 0.6268
0.5098 0.7972 0.1268
0.8534 0.6871 0.1516
0.8534 0.8129 0.6516
0.0186 0.6395 0.1205
0.0186 0.8605 0.6205
0.0520 0.6771 0.2754
0.0520 0.8229 0.7754
0.0938 0.1633 0.8572
0.0938 0.3367 0.3572
0.2096 0.0399 0.3389
0.2096 0.4601 0.8389
0.2844 0.6428 0.5593
0.2844 0.8572 0.0593
0.3071 0.1730 0.4830
0.3071 0.3270 0.9830
0.3928 0.0651 0.8154
0.3928 0.4349 0.3154
0.4217 0.6568 0.0702
0.4217 0.8432 0.5702
0.4369 0.7298 0.7165
0.4369 0.7702 0.2165
0.4710 0.1473 0.9773
0.4710 0.3527 0.4773
0.5290 0.6473 0.5227
0.5290 0.8527 0.0227
0.5631 0.2298 0.7835
0.5631 0.2702 0.2835
0.5783 0.1568 0.4298
0.5783 0.3432 0.9298
0.6072 0.5651 0.6846
0.6072 0.9349 0.1846
0.6929 0.6730 0.0170
0.6929 0.8270 0.5170
0.7156 0.1428 0.9407
0.7156 0.3572 0.4407
0.7904 0.5399 0.1611
0.7904 0.9601 0.6611
0.9062 0.6633 0.6428
0.9062 0.8367 0.1428
0.9480 0.1771 0.2246
0.9480 0.3229 0.7246
0.9814 0.1395 0.3795
0.9814 0.3605 0.8795
0.0781 0.1570 0.6196
0.0781 0.3430 0.1196
0.2519 0.0942 0.1530
0.2519 0.4058 0.6530
0.7481 0.5942 0.3470
0.7481 0.9058 0.8470
0.9219 0.6570 0.8804
0.9219 0.8430 0.3804
0.0629 0.0801 0.8616
0.0629 0.4199 0.3616
0.1143 0.6138 0.1036
0.1143 0.8862 0.6036
0.1561 0.6093 0.5223
0.1561 0.8907 0.0223
0.1698 0.6686 0.3416
0.1698 0.8314 0.8416
0.2441 0.5423 0.8344
0.2441 0.9577 0.3344
0.3395 0.5122 0.2845
0.3395 0.9878 0.7845
0.3712 0.5792 0.0387
0.3712 0.9208 0.5387
0.3832 0.7418 0.7610
0.3832 0.7582 0.2610
0.3887 0.1578 0.5564
0.3887 0.3422 0.0564
0.4671 0.1066 0.0336
0.4671 0.3934 0.5336
0.5329 0.6066 0.4664
0.5329 0.8934 0.9664
0.6113 0.6578 0.9436
0.6113 0.8422 0.4436
0.6168 0.2418 0.7390
0.6168 0.2582 0.2390
0.6288 0.0792 0.4613
0.6288 0.4208 0.9613
0.6605 0.0122 0.2155
0.6605 0.4878 0.7155
0.7559 0.0423 0.6656
0.7559 0.4577 0.1656
0.8302 0.1686 0.1584
0.8302 0.3314 0.6584
0.8439 0.1093 0.9777
0.8439 0.3907 0.4777
0.8857 0.1138 0.3964
0.8857 0.3862 0.8964
0.9371 0.5801 0.6384
0.9371 0.9199 0.1384
```

Output
Total magnetization: 0.00 Bohr magnetons per cell
Formation energy: -0.718 eV per atom

=====

Record 8
A geometry-optimized Y2Mo2O7 structure, computed with GGA+U.

Geometry as POSCAR:
```
Y2Mo2O7
1.0
-3.6944 3.6944 5.1983
3.6944 -3.6944 5.1983
3.6944 3.6944 -5.1983
Y Mo O
4 4 14
Direct
0.0000 0.0000 0.0000
0.5000 0.0000 0.0000
0.5000 0.0000 0.5000
0.5000 0.5000 0.5000
0.0000 0.0000 0.5000
0.0000 0.5000 0.0000
0.0000 0.5000 0.5000
0.5000 0.5000 0.0000
0.0794 0.8352 0.6803
0.0869 0.8369 0.2500
0.1009 0.4206 0.2558
0.3352 0.1549 0.7558
0.3369 0.5869 0.7500
0.3451 0.6009 0.1803
0.3750 0.1250 0.2500
0.6250 0.8750 0.7500
0.6549 0.3991 0.8197
0.6631 0.4131 0.2500
0.6648 0.8451 0.2442
0.8991 0.5794 0.7442
0.9131 0.1631 0.7500
0.9206 0.1648 0.3197
```

Output
Formation energy: -2.946 eV per atom

=====

Record 9
A geometry-optimized Li2VCrO4 structure, computed with GGA+U.

Geometry as POSCAR:
```
Li2VCrO4
1.0
5.1693 0.0000 0.0000
1.7249 5.7446 0.0000
1.7574 1.0161 7.6084
Li V Cr O
6 3 3 12
Direct
0.0000 0.0000 0.0000
0.0000 0.5000 0.0000
0.0028 0.1621 0.3357
0.0027 0.3274 0.6675
0.9973 0.6726 0.3325
0.9972 0.8379 0.6643
0.4996 0.3364 0.1666
0.5000 0.5000 0.5000
0.5004 0.6636 0.8334
0.4991 0.8374 0.1670
0.5000 0.0000 0.5000
0.5009 0.1626 0.8330
0.2734 0.4873 0.7478
0.2730 0.6644 0.0824
0.2726 0.8348 0.4129
0.2740 0.1610 0.0800
0.2744 0.3273 0.4163
0.2761 0.9913 0.7476
0.7239 0.0087 0.2524
0.7256 0.6727 0.5837
0.7260 0.8390 0.9200
0.7274 0.1652 0.5871
0.7270 0.3356 0.9176
0.7266 0.5127 0.2522
```

Output
Total magnetization: 15.01 Bohr magnetons per cell
Formation energy: -2.431 eV per atom

=====

Record 10
A geometry-optimized Ba4Cr13O28 structure, computed with GGA+U.

Geometry as POSCAR:
```
Ba4Cr13O28
1.0
9.9527 0.0000 0.0000
0.0000 5.8634 0.0000
-3.5271 0.0000 9.5296
Ba Cr O
4 13 28
Direct
0.0000 0.0000 0.0000
0.0025 0.5000 0.5384
0.2557 0.0000 0.4392
0.2620 0.5000 0.9440
0.3185 0.0000 0.7944
0.3246 0.5000 0.2973
0.4166 0.0000 0.1611
0.4174 0.5000 0.6616
0.6345 0.2486 0.9842
0.6345 0.7514 0.9842
0.6347 0.5000 0.2347
0.6384 0.2430 0.4878
0.6384 0.7570 0.4878
0.6407 0.0000 0.7341
0.8605 0.0000 0.3188
0.8754 0.5000 0.7999
0.9467 0.5000 0.1717
0.2792 0.0000 0.9526
0.2804 0.2440 0.1968
0.2804 0.7560 0.1968
0.2807 0.2588 0.6963
0.2807 0.7412 0.6963
0.2826 0.5000 0.4543
0.5178 0.2618 0.1073
0.5178 0.7382 0.1073
0.5195 0.0000 0.3707
0.5216 0.0000 0.8620
0.5218 0.2363 0.6107
0.5217 0.5000 0.8691
0.5218 0.7637 0.6107
0.5258 0.5000 0.3658
0.7446 0.0000 0.6063
0.7458 0.5000 0.1049
0.7469 0.2403 0.8548
0.7469 0.7597 0.8548
0.7491 0.0000 0.1012
0.7500 0.2539 0.3607
0.7500 0.7461 0.3607
0.7518 0.5000 0.6069
0.9849 0.5000 0.0140
0.9877 0.2441 0.2687
0.9878 0.2843 0.7852
0.9878 0.7157 0.7852
0.9877 0.7559 0.2687
0.9955 0.0000 0.4846
```

Output
Total magnetization: 30.00 Bohr magnetons per cell
Formation energy: -2.330 eV per atom

=====

Record 11
A geometry-optimized NpCrO11 structure, computed with GGA+U.

Geometry as POSCAR:
```
NpCrO11
1.0
9.0019 0.0000 0.0000
0.0000 11.3074 0.0000
-0.6259 0.0000 9.1863
Np Cr O
4 4 44
Direct
0.0377 0.0661 0.3353
0.0377 0.4339 0.8353
0.9623 0.5661 0.1647
0.9623 0.9339 0.6647
0.1824 0.1358 0.9599
0.1824 0.3642 0.4599
0.8176 0.6358 0.5401
0.8176 0.8642 0.0401
0.0861 0.0690 0.5635
0.0861 0.4310 0.0635
0.0887 0.0354 0.8516
0.0890 0.1528 0.1122
0.0890 0.3472 0.6122
0.0887 0.4646 0.3516
0.1148 0.6675 0.1603
0.1148 0.8325 0.6603
0.1925 0.2338 0.3731
0.1925 0.2662 0.8731
0.1954 0.5276 0.8142
0.1954 0.9724 0.3142
0.3280 0.6759 0.5218
0.3280 0.8241 0.0218
0.3479 0.0898 0.0033
0.3479 0.4102 0.5033
0.4055 0.6474 0.6384
0.4055 0.8526 0.1384
0.4463 0.0046 0.5905
0.4463 0.4954 0.0905
0.4554 0.7302 0.7239
0.4554 0.7698 0.2239
0.5446 0.2302 0.7761
0.5446 0.2698 0.2761
0.5537 0.5046 0.9095
0.5537 0.9954 0.4095
0.5945 0.1474 0.8616
0.5945 0.3526 0.3616
0.6521 0.5898 0.4967
0.6521 0.9102 0.9967
0.6720 0.1759 0.9782
0.6720 0.3241 0.4782
0.8046 0.0276 0.6858
0.8046 0.4724 0.1858
0.8075 0.7338 0.1269
0.8075 0.7662 0.6269
0.8852 0.1675 0.3397
0.8852 0.3325 0.8397
0.9113 0.5354 0.6484
0.9110 0.6528 0.3878
0.9110 0.8472 0.8878
0.9113 0.9646 0.1484
0.9139 0.5690 0.9365
0.9139 0.9310 0.4365
```

Output
Total magnetization: 8.00 Bohr magnetons per cell
Formation energy: -0.779 eV per atom

=====

no.,DFT total energy (eV per atom),calculated volume (Å³ per cell)
1,-6.659,447
2,-7.082,292
3,-6.390,345
4,-6.280,114
5,-5.577,103
6,-7.227,114
7,-7.111,1985
8,-8.223,284
9,-6.919,226
10,-7.363,556
11,-6.550,935